# 1
The following is a DFT calculation (PBE) of a relaxed structure of K5Na3Ta6Nb2O20.

```
K5Na3Ta6Nb2O20
1.0
11.432 0.000 0.000
-0.028 11.471 0.000
-5.658 -5.666 15.816
K Na Ta Nb O
20 12 24 8 80
Direct
0.000 0.000 0.000
0.001 0.502 0.001
0.125 0.123 0.755
0.127 0.629 0.259
0.128 0.130 0.260
0.249 0.252 0.000
0.250 0.753 0.001
0.373 0.898 0.757
0.379 0.380 0.260
0.383 0.396 0.759
0.498 0.005 0.999
0.500 0.506 0.000
0.627 0.635 0.261
0.635 0.128 0.770
0.750 0.256 0.002
0.750 0.754 0.001
0.874 0.893 0.757
0.876 0.883 0.261
0.878 0.383 0.258
0.998 0.995 0.505
0.140 0.630 0.776
0.240 0.255 0.487
0.241 0.764 0.493
0.379 0.893 0.264
0.487 0.978 0.483
0.495 0.475 0.486
0.627 0.127 0.264
0.641 0.631 0.775
0.740 0.759 0.493
0.746 0.263 0.484
0.889 0.404 0.775
0.992 0.478 0.483
0.069 0.301 0.130
0.069 0.806 0.131
0.187 0.940 0.876
0.187 0.944 0.382
0.188 0.442 0.878
0.190 0.444 0.384
0.319 0.577 0.131
0.323 0.070 0.131
0.436 0.693 0.383
0.438 0.196 0.878
0.439 0.191 0.383
0.439 0.695 0.878
0.560 0.819 0.133
0.562 0.312 0.131
0.686 0.941 0.877
0.687 0.945 0.385
0.688 0.444 0.382
0.689 0.442 0.878
0.808 0.078 0.130
0.809 0.583 0.131
0.935 0.192 0.381
0.938 0.192 0.877
0.938 0.693 0.877
0.939 0.693 0.385
0.051 0.757 0.628
0.071 0.299 0.628
0.344 0.111 0.626
0.345 0.611 0.628
0.551 0.762 0.627
0.591 0.265 0.628
0.792 0.127 0.629
0.845 0.607 0.627
0.003 0.760 0.005
0.005 0.260 0.007
0.020 0.584 0.628
0.060 0.316 0.872
0.062 0.068 0.878
0.063 0.318 0.381
0.063 0.568 0.877
0.064 0.817 0.383
0.065 0.073 0.387
0.065 0.814 0.875
0.068 0.570 0.389
0.118 0.875 0.747
0.125 0.888 0.254
0.126 0.392 0.750
0.127 0.384 0.255
0.195 0.191 0.132
0.200 0.702 0.134
0.224 0.730 0.619
0.225 0.239 0.618
0.252 0.501 0.008
0.254 0.999 0.007
0.255 0.003 0.509
0.260 0.492 0.512
0.311 0.069 0.877
0.311 0.818 0.378
0.312 0.318 0.876
0.312 0.815 0.873
0.315 0.316 0.382
0.315 0.572 0.879
0.316 0.570 0.388
0.317 0.069 0.386
0.377 0.620 0.256
0.377 0.629 0.746
0.378 0.118 0.255
0.379 0.137 0.747
0.442 0.695 0.132
0.446 0.190 0.134
0.488 0.775 0.513
0.501 0.265 0.007
0.503 0.766 0.006
0.504 0.265 0.512
0.511 0.101 0.618
0.521 0.591 0.627
0.559 0.818 0.381
0.563 0.069 0.881
0.564 0.319 0.878
0.564 0.815 0.875
0.565 0.070 0.387
0.565 0.317 0.381
0.566 0.569 0.877
0.568 0.574 0.393
0.615 0.878 0.745
0.622 0.393 0.255
0.623 0.892 0.256
0.625 0.371 0.747
0.685 0.695 0.131
0.686 0.193 0.132
0.721 0.727 0.619
0.739 0.999 0.515
0.751 0.998 0.006
0.754 0.503 0.006
0.761 0.493 0.510
0.767 0.300 0.628
0.807 0.313 0.374
0.810 0.813 0.873
0.810 0.818 0.383
0.813 0.073 0.388
0.813 0.566 0.873
0.814 0.068 0.881
0.816 0.319 0.877
0.816 0.568 0.385
0.861 0.125 0.747
0.874 0.119 0.253
0.876 0.624 0.254
0.877 0.626 0.746
0.938 0.193 0.130
0.939 0.695 0.130
0.961 0.174 0.629
0.991 0.275 0.506
0.992 0.760 0.511
```

Results
- DFT formation energy (eV/atom) = -2.646
- total magnetic moment (μB/cell) = 2.4

# 2
The following is a DFT calculation (PBE) of a relaxed structure of K5Na3Ta2Nb6O20.

```
K5Na3Ta2Nb6O20
1.0
11.525 0.000 0.000
0.034 11.560 0.000
5.739 5.720 15.788
K Na Ta Nb O
20 12 8 24 80
Direct
0.000 0.000 0.000
0.000 0.492 0.500
0.125 0.623 0.247
0.135 0.127 0.743
0.232 0.256 0.009
0.252 0.759 0.005
0.379 0.389 0.245
0.389 0.892 0.735
0.493 0.500 0.000
0.499 0.992 0.006
0.626 0.627 0.742
0.633 0.625 0.233
0.641 0.129 0.733
0.744 0.248 0.001
0.750 0.753 0.000
0.873 0.894 0.243
0.877 0.394 0.247
0.879 0.379 0.740
0.883 0.881 0.743
0.984 0.486 0.014
0.133 0.126 0.224
0.143 0.630 0.718
0.238 0.764 0.517
0.247 0.254 0.514
0.386 0.903 0.226
0.391 0.401 0.720
0.485 0.967 0.519
0.492 0.473 0.520
0.631 0.125 0.226
0.742 0.751 0.518
0.744 0.259 0.514
0.990 0.972 0.524
0.186 0.441 0.123
0.187 0.943 0.123
0.435 0.190 0.124
0.438 0.691 0.123
0.686 0.438 0.123
0.687 0.939 0.125
0.695 0.942 0.616
0.939 0.693 0.122
0.055 0.797 0.375
0.059 0.301 0.871
0.063 0.250 0.375
0.087 0.765 0.869
0.192 0.940 0.621
0.196 0.441 0.618
0.274 0.098 0.375
0.287 0.603 0.869
0.330 0.623 0.373
0.334 0.112 0.868
0.442 0.688 0.619
0.446 0.192 0.618
0.534 0.762 0.376
0.539 0.287 0.869
0.561 0.258 0.376
0.563 0.804 0.869
0.695 0.441 0.619
0.770 0.103 0.377
0.779 0.611 0.376
0.804 0.079 0.871
0.816 0.579 0.871
0.933 0.190 0.125
0.945 0.689 0.621
0.947 0.192 0.619
0.013 0.749 0.996
0.019 0.790 0.489
0.039 0.276 0.477
0.059 0.563 0.131
0.060 0.314 0.135
0.063 0.065 0.124
0.063 0.816 0.126
0.064 0.810 0.630
0.071 0.314 0.620
0.073 0.066 0.615
0.076 0.574 0.609
0.100 0.080 0.374
0.122 0.896 0.255
0.123 0.596 0.858
0.126 0.375 0.266
0.128 0.388 0.747
0.138 0.880 0.754
0.161 0.669 0.375
0.174 0.178 0.876
0.241 0.506 0.999
0.249 0.985 0.486
0.262 0.008 0.997
0.281 0.492 0.479
0.307 0.315 0.128
0.309 0.811 0.135
0.310 0.066 0.128
0.310 0.565 0.128
0.315 0.814 0.620
0.321 0.315 0.621
0.322 0.568 0.614
0.328 0.072 0.608
0.360 0.796 0.373
0.364 0.119 0.258
0.374 0.624 0.749
0.377 0.288 0.857
0.383 0.612 0.262
0.385 0.123 0.750
0.385 0.220 0.387
0.421 0.708 0.873
0.491 0.253 0.998
0.497 0.755 0.001
0.507 0.770 0.486
0.530 0.285 0.480
0.556 0.063 0.129
0.556 0.309 0.131
0.557 0.811 0.130
0.560 0.563 0.124
0.567 0.318 0.621
0.567 0.569 0.615
0.568 0.817 0.619
0.578 0.070 0.607
0.597 0.087 0.376
0.605 0.600 0.385
0.617 0.868 0.258
0.622 0.377 0.265
0.627 0.378 0.750
0.630 0.887 0.743
0.669 0.175 0.873
0.678 0.682 0.874
0.745 0.998 0.001
0.746 0.491 0.002
0.754 0.979 0.484
0.757 0.495 0.486
0.799 0.310 0.135
0.803 0.062 0.128
0.813 0.565 0.123
0.814 0.815 0.123
0.815 0.816 0.621
0.819 0.314 0.617
0.821 0.571 0.612
0.826 0.069 0.603
0.862 0.116 0.264
0.865 0.631 0.256
0.875 0.122 0.746
0.877 0.614 0.749
0.886 0.221 0.388
0.894 0.732 0.384
0.924 0.700 0.875
0.935 0.184 0.873
0.993 0.259 0.000
```

Results
- DFT formation energy (eV/atom) = -2.580
- total magnetic moment (μB/cell) = 4.1

# 3
The following is a DFT calculation (PBE) of a relaxed structure of K5Na3Ta7NbO24.

```
K5Na3Ta7NbO24
1.0
5.674 -5.674 0.000
5.674 5.674 0.000
0.000 0.000 8.024
K Na Ta Nb O
5 3 7 1 24
Direct
0.000 0.000 0.000
0.000 0.000 0.500
0.000 0.500 0.000
0.500 0.000 0.000
0.500 0.500 0.000
0.000 0.500 0.500
0.500 0.000 0.500
0.500 0.500 0.500
0.250 0.250 0.251
0.250 0.750 0.251
0.250 0.750 0.749
0.750 0.250 0.251
0.750 0.250 0.749
0.750 0.750 0.251
0.750 0.750 0.749
0.250 0.250 0.749
0.000 0.251 0.251
0.000 0.749 0.251
0.000 0.749 0.749
0.250 0.250 0.001
0.250 0.500 0.252
0.250 0.501 0.748
0.250 0.750 0.000
0.251 0.000 0.251
0.251 0.251 0.499
0.251 0.749 0.500
0.251 0.999 0.749
0.500 0.250 0.252
0.500 0.750 0.252
0.500 0.750 0.748
0.501 0.250 0.748
0.749 0.000 0.251
0.749 0.000 0.749
0.749 0.251 0.500
0.749 0.749 0.500
0.750 0.250 0.000
0.750 0.500 0.252
0.750 0.500 0.748
0.750 0.750 0.000
0.999 0.251 0.749
```

Results
- DFT formation energy (eV/atom) = -3.037
- total magnetic moment (μB/cell) = 0.0